# Rb2IrF6 (meta-GGA r2SCAN, relaxed)
data_Rb2IrF6
_space_group_name_H-M_alt 'P 1'
_space_group_IT_number 1
_cell_length_a 5.945
_cell_length_b 5.947
_cell_length_c 4.762
_cell_angle_alpha 90.00
_cell_angle_beta 90.02
_cell_angle_gamma 120.01
loop_
_space_group_symop_operation_xyz
'x,y,z'
loop_
_atom_site_label
_atom_site_type_symbol
_atom_site_fract_x
_atom_site_fract_y
_atom_site_fract_z
Rb1 Rb 0.333 0.667 0.790
Rb2 Rb 0.667 0.333 0.210
Ir1 Ir 0.000 0.000 0.500
F1 F 0.159 0.318 0.275
F2 F 0.682 0.841 0.275
F3 F 0.159 0.841 0.275
F4 F 0.841 0.682 0.725
F5 F 0.318 0.159 0.725
F6 F 0.841 0.159 0.725
# magnetic moment	0.11	μB/atom
# space-group type	P-3m1 (164)
# ΔH_f (0 K)	-2387	meV per atom

---

# KMnF3 (meta-GGA r2SCAN, relaxed)
data_KMnF3
_space_group_name_H-M_alt 'P 1'
_space_group_IT_number 1
_cell_length_a 4.183
_cell_length_b 4.183
_cell_length_c 4.183
_cell_angle_alpha 90.00
_cell_angle_beta 90.00
_cell_angle_gamma 90.00
loop_
_space_group_symop_operation_xyz
'x,y,z'
loop_
_atom_site_label
_atom_site_type_symbol
_atom_site_fract_x
_atom_site_fract_y
_atom_site_fract_z
K1 K 0.500 0.500 0.500
Mn1 Mn 0.000 0.000 0.000
F1 F 0.500 0.000 0.000
F2 F 0.000 0.000 0.500
F3 F 0.000 0.500 0.000
# magnetic moment	1.00	μB/atom
# space-group type	Pm-3m (221)
# ΔH_f (0 K)	-3008	meV per atom

---

# SrV4Bi6O20 (meta-GGA r2SCAN, relaxed)
data_SrV4Bi6O20
_space_group_name_H-M_alt 'P 1'
_space_group_IT_number 1
_cell_length_a 7.139
_cell_length_b 7.953
_cell_length_c 9.293
_cell_angle_alpha 106.43
_cell_angle_beta 94.34
_cell_angle_gamma 112.20
loop_
_space_group_symop_operation_xyz
'x,y,z'
loop_
_atom_site_label
_atom_site_type_symbol
_atom_site_fract_x
_atom_site_fract_y
_atom_site_fract_z
Sr1 Sr 0.000 0.500 0.000
V1 V 0.053 0.775 0.757
V2 V 0.654 0.103 0.739
V3 V 0.947 0.225 0.243
V4 V 0.346 0.897 0.261
Bi1 Bi 0.658 0.374 0.486
Bi2 Bi 0.432 0.298 0.080
Bi3 Bi 0.342 0.626 0.514
Bi4 Bi 0.197 0.212 0.670
Bi5 Bi 0.803 0.788 0.330
Bi6 Bi 0.568 0.702 0.920
O1 O 0.835 0.976 0.167
O2 O 0.533 0.875 0.372
O3 O 0.765 0.319 0.244
O4 O 0.375 0.134 0.314
O5 O 0.943 0.703 0.567
O6 O 0.057 0.297 0.433
O7 O 0.354 0.806 0.073
O8 O 0.646 0.194 0.927
O9 O 0.892 0.255 0.724
O10 O 0.550 0.531 0.367
O11 O 0.108 0.745 0.276
O12 O 0.450 0.469 0.633
O13 O 0.235 0.681 0.756
O14 O 0.670 0.588 0.102
O15 O 0.467 0.125 0.628
O16 O 0.330 0.412 0.898
O17 O 0.869 0.667 0.852
O18 O 0.625 0.866 0.686
O19 O 0.165 0.024 0.833
O20 O 0.131 0.333 0.148
# magnetic moment	0.00	μB/atom
# space-group type	P-1 (2)
# ΔH_f (0 K)	-2108	meV per atom

---

# Cr4InCuSe8 (meta-GGA r2SCAN, relaxed)
data_Cr4InCuSe8
_space_group_name_H-M_alt 'P 1'
_space_group_IT_number 1
_cell_length_a 7.523
_cell_length_b 7.523
_cell_length_c 7.523
_cell_angle_alpha 60.00
_cell_angle_beta 60.00
_cell_angle_gamma 60.00
loop_
_space_group_symop_operation_xyz
'x,y,z'
loop_
_atom_site_label
_atom_site_type_symbol
_atom_site_fract_x
_atom_site_fract_y
_atom_site_fract_z
Cr1 Cr 0.620 0.139 0.620
Cr2 Cr 0.139 0.620 0.620
Cr3 Cr 0.620 0.620 0.139
Cr4 Cr 0.620 0.620 0.620
In1 In 0.000 0.000 0.000
Cu1 Cu 0.250 0.250 0.250
Se1 Se 0.383 0.383 0.383
Se2 Se 0.861 0.861 0.417
Se3 Se 0.417 0.861 0.861
Se4 Se 0.861 0.861 0.861
Se5 Se 0.383 0.851 0.383
Se6 Se 0.383 0.383 0.851
Se7 Se 0.861 0.417 0.861
Se8 Se 0.851 0.383 0.383
# magnetic moment	0.86	μB/atom
# space-group type	F-43m (216)
# ΔH_f (0 K)	-779	meV per atom

---

# Ba3Al3As5 (meta-GGA r2SCAN, relaxed)
data_Ba3Al3As5
_space_group_name_H-M_alt 'P 1'
_space_group_IT_number 1
_cell_length_a 13.254
_cell_length_b 13.254
_cell_length_c 13.254
_cell_angle_alpha 69.47
_cell_angle_beta 69.47
_cell_angle_gamma 69.47
loop_
_space_group_symop_operation_xyz
'x,y,z'
loop_
_atom_site_label
_atom_site_type_symbol
_atom_site_fract_x
_atom_site_fract_y
_atom_site_fract_z
Ba1 Ba 0.145 0.224 0.651
Ba2 Ba 0.651 0.145 0.224
Ba3 Ba 0.224 0.651 0.145
Ba4 Ba 0.151 0.724 0.645
Ba5 Ba 0.645 0.151 0.724
Ba6 Ba 0.724 0.645 0.151
Ba7 Ba 0.855 0.776 0.349
Ba8 Ba 0.349 0.855 0.776
Ba9 Ba 0.776 0.349 0.855
Ba10 Ba 0.849 0.276 0.355
Ba11 Ba 0.355 0.849 0.276
Ba12 Ba 0.276 0.355 0.849
Ba13 Ba 0.398 0.398 0.398
Ba14 Ba 0.898 0.898 0.898
Ba15 Ba 0.602 0.602 0.602
Ba16 Ba 0.102 0.102 0.102
Ba17 Ba 0.250 0.250 0.250
Ba18 Ba 0.750 0.750 0.750
Al1 Al 0.079 0.572 0.494
Al2 Al 0.494 0.079 0.572
Al3 Al 0.572 0.494 0.079
Al4 Al 0.994 0.072 0.579
Al5 Al 0.579 0.994 0.072
Al6 Al 0.072 0.579 0.994
Al7 Al 0.921 0.428 0.506
Al8 Al 0.506 0.921 0.428
Al9 Al 0.428 0.506 0.921
Al10 Al 0.006 0.928 0.421
Al11 Al 0.421 0.006 0.928
Al12 Al 0.928 0.421 0.006
Al13 Al 0.978 0.522 0.250
Al14 Al 0.250 0.978 0.522
Al15 Al 0.522 0.250 0.978
Al16 Al 0.750 0.022 0.478
Al17 Al 0.478 0.750 0.022
Al18 Al 0.022 0.478 0.750
As1 As 0.112 0.449 0.374
As2 As 0.374 0.112 0.449
As3 As 0.449 0.374 0.112
As4 As 0.874 0.949 0.612
As5 As 0.612 0.874 0.949
As6 As 0.949 0.612 0.874
As7 As 0.888 0.551 0.626
As8 As 0.626 0.888 0.551
As9 As 0.551 0.626 0.888
As10 As 0.126 0.051 0.388
As11 As 0.388 0.126 0.051
As12 As 0.051 0.388 0.126
As13 As 0.206 0.470 0.615
As14 As 0.615 0.206 0.470
As15 As 0.470 0.615 0.206
As16 As 0.115 0.970 0.706
As17 As 0.706 0.115 0.970
As18 As 0.970 0.706 0.115
As19 As 0.794 0.530 0.385
As20 As 0.385 0.794 0.530
As21 As 0.530 0.385 0.794
As22 As 0.885 0.030 0.294
As23 As 0.294 0.885 0.030
As24 As 0.030 0.294 0.885
As25 As 0.616 0.884 0.250
As26 As 0.250 0.616 0.884
As27 As 0.884 0.250 0.616
As28 As 0.750 0.384 0.116
As29 As 0.116 0.750 0.384
As30 As 0.384 0.116 0.750
# magnetic moment	0.00	μB/atom
# space-group type	R-3c (167)
# ΔH_f (0 K)	-1057	meV per atom

---

# FeCuPt2 (meta-GGA r2SCAN, relaxed)
data_FeCuPt2
_space_group_name_H-M_alt 'P 1'
_space_group_IT_number 1
_cell_length_a 2.756
_cell_length_b 2.756
_cell_length_c 7.220
_cell_angle_alpha 90.00
_cell_angle_beta 90.00
_cell_angle_gamma 90.00
loop_
_space_group_symop_operation_xyz
'x,y,z'
loop_
_atom_site_label
_atom_site_type_symbol
_atom_site_fract_x
_atom_site_fract_y
_atom_site_fract_z
Fe1 Fe 0.500 0.500 0.000
Cu1 Cu 0.500 0.500 0.500
Pt1 Pt 0.000 0.000 0.751
Pt2 Pt 0.000 0.000 0.249
# magnetic moment	0.94	μB/atom
# space-group type	P4/mmm (123)
# ΔH_f (0 K)	-292	meV per atom